[1]
The following is a DFT calculation (r2SCAN) of a geometry-optimized ZrPd structure.

Crystal system: orthorhombic
ΔE_f (eV/atom): -0.69
Spin magnetization (μB/f.u.): 0.0

The structure in POSCAR format:
```
ZrPd
1.0
-2.1813 1.7809 -1.8639
-0.6558 -3.4537 -2.5323
-2.8066 -2.4217 4.0298
Zr Pd
2 2
Direct
0.1408 0.7500 0.2816
0.8592 0.2500 0.7184
0.4108 0.7500 0.8215
0.5892 0.2500 0.1785
```

***

[2]
The following is a DFT calculation (r2SCAN) of a geometry-optimized ZrPd2 structure.

Crystal system: tetragonal
ΔE_f (eV/atom): -0.79
Spin magnetization (μB/f.u.): 0.0

The structure in POSCAR format:
```
ZrPd2
1.0
3.4511 0.0000 0.0000
0.0000 3.4511 0.0000
-1.7255 -1.7255 4.3352
Zr Pd
1 2
Direct
0.0000 0.0000 0.0000
0.3376 0.3376 0.6753
0.6624 0.6624 0.3247
```

***

[3]
The following is a DFT calculation (r2SCAN) of a geometry-optimized Pm structure.

Energy relative to the lowest polymorph listed for this composition (meV/atom): 0
Crystal system: hexagonal
ΔE_f (eV/atom): 0.00
Spin magnetization (μB/f.u.): 0.0

The structure in POSCAR format:
```
Pm
1.0
3.6762 0.0000 0.0000
-1.8381 3.1837 0.0000
0.0000 0.0000 11.7991
Pm
4
Direct
0.0000 0.0000 0.0000
0.0000 0.0000 0.5000
0.3333 0.6667 0.2500
0.6667 0.3333 0.7500
```

***

[4]
The following is a DFT calculation (r2SCAN) of a geometry-optimized Pm structure.

Energy relative to the lowest polymorph listed for this composition (meV/atom): 17
Crystal system: cubic
ΔE_f (eV/atom): 0.02
Spin magnetization (μB/f.u.): 0.0

The structure in POSCAR format:
```
Pm
1.0
-0.0869 -3.0209 2.0549
-2.5263 0.5225 -2.5885
3.4535 -0.7387 -0.9398
Pm
1
Direct
0.0000 0.0000 0.0000
```

***

Number 1: calculated volume 19.1 A^3/atom. Number 2: calculated volume 17.2 A^3/atom. Number 3: calculated volume 34.5 A^3/atom. Number 4: calculated volume 34.5 A^3/atom.